A geometry-optimized BaCaV2Ni3H2O10 structure. Source: the Materials Project, functional PBE+U.

magnetization: 0.20 μB/atom
offset from the most stable computed form: 8 meV/atom
mass density: 4.53 Mg/m³
SG: P1 (1)

abc: 6.1182 5.9490 8.5711
angles: 67.52 57.30 60.80
With the nearest neighbours (Å) after each atom.
Atoms (fractional coordinates):
H  0.2490  0.7623  0.7440  1 O 0.98
H  0.6940  0.2438  0.2909  1 O 0.99
V  0.6815  0.0340  0.7560  4 O 1.82-1.87
V  0.3240  0.9443  0.2587  4 O 1.84-1.86
Ni  0.9960  0.5011  0.0252  6 O 2.01-2.21
Ni  0.4967  0.4994  0.0169  5 O 2.03-2.14
Ni  0.0021  0.0017  0.0130  5 O 2.01-2.11
O  0.2007  0.7860  0.1902  1 V 1.84
O  0.7098  0.8276  0.1536  1 V 1.86, 2 Ni 2.06-2.07
O  0.7959  0.6746  0.8338  1 V 1.86
O  0.2723  0.7794  0.4994  1 V 1.84, 1 H 1.99
O  0.7380  0.3034  0.1563  1 H 0.99
O  0.2068  0.3028  0.2033  1 V 1.84
O  0.8314  0.2074  0.7910  1 V 1.86
O  0.2930  0.1861  0.8821  1 V 1.87, 1 Ni 2.08
O  0.2597  0.7036  0.8646  1 H 0.98
O  0.6693  0.1263  0.5322  1 V 1.82, 1 H 1.86
Ca  0.1983  0.3819  0.6406  5 O 2.18-2.43
Ba  0.7774  0.6302  0.4567  4 O 2.58-2.74, 1 H 2.74

A geometry-optimized Sr2Ca6Mn8O23 structure. Source: the Materials Project, functional PBE+U.

magnetization: 0.67 μB/atom
offset from the most stable computed form: 3 meV/atom
mass density: 4.47 Mg/m³
SG: P1 (1)

abc: 10.9209 15.3890 10.8198
angles: 90.15 90.32 90.05
With the nearest neighbours (Å) after each atom.
Atoms (fractional coordinates):
Ca  0.2274  0.8718  0.7511  7 O 2.37-2.60
Ca  0.5204  0.6257  0.9949  6 O 2.35-2.58
Ca  0.7420  0.3848  0.2479  3 O 2.27-2.47
Ca  0.7710  0.6247  0.2552  6 O 2.35-2.60
Ca  0.2226  0.8711  0.2432  8 O 2.35-2.61
Ca  0.2720  0.6263  0.7545  7 O 2.35-2.60
Ca  0.5235  0.6250  0.4978  8 O 2.36-2.64
Ca  0.9782  0.3771  0.5050  8 O 2.37-2.65
Ca  0.9776  0.8730  0.0045  5 O 2.34-2.57
Ca  0.7702  0.6256  0.7539  6 O 2.35-2.62
Ca  0.0211  0.6260  0.4956  6 O 2.36-2.62
Ca  0.2735  0.6278  0.2546  7 O 2.36-2.60
Ca  0.5240  0.1300  0.5083  6 O 2.30-2.55
Ca  0.7325  0.3784  0.7486  5 O 2.36-2.63
Ca  0.7778  0.1203  0.2543  7 O 2.37-2.65
Ca  0.7713  0.1238  0.7545  4 O 2.33-2.40
Ca  0.5318  0.1212  0.9732  7 O 2.33-2.60
Ca  0.9731  0.8726  0.5053  7 O 2.36-2.63
Ca  0.4805  0.8653  0.5163  5 O 2.28-2.46
Ca  0.0216  0.6267  0.9947  6 O 2.36-2.61
Ca  0.4811  0.8699  0.9956  5 O 2.31-2.56
Ca  0.9673  0.3847  0.9979  6 O 2.33-2.58
Ca  0.7383  0.8663  0.2466  4 O 2.28-2.51
Ca  0.7302  0.8731  0.7464  5 O 2.34-2.59
O  0.4957  0.1227  0.7190  2 Mn 1.96-1.98
O  0.8567  0.7689  0.1434  2 Mn 1.96
O  0.5006  0.3786  0.2679  2 Mn 1.89-1.98
O  0.8941  0.5198  0.8969  2 Mn 1.96-2.00
O  0.7547  0.8745  0.4599  2 Mn 1.96-1.98
O  0.5996  0.9806  0.5990  2 Mn 1.94-1.97
O  0.2639  0.8754  0.9673  2 Mn 1.93-1.97
O  0.3929  0.5228  0.3917  2 Mn 1.97-1.99
O  0.4906  0.6272  0.7133  2 Mn 1.92-1.93
O  0.3598  0.4921  0.1413  2 Mn 1.94-1.95
O  0.1459  0.2430  0.3459  2 Mn 1.93-1.98
O  0.1014  0.9781  0.6139  2 Mn 1.91-1.92
O  0.0027  0.8718  0.2889  2 Mn 1.93-1.95
O  0.3577  0.9759  0.6403  2 Mn 1.94-1.97
O  0.0086  0.8721  0.7910  2 Mn 1.94
O  0.8952  0.5195  0.3952  2 Mn 1.96-1.98
O  0.7444  0.1232  0.5412  2 Mn 1.97-1.98
O  0.4067  0.2342  0.8963  2 Mn 1.84-1.98
O  0.0023  0.3780  0.7861  2 Mn 1.96-1.98
O  0.3583  0.2608  0.6386  2 Mn 1.94-1.97
O  0.4925  0.6296  0.2098  2 Mn 1.89-1.94
O  0.0060  0.3780  0.2825  2 Mn 1.94-1.96
O  0.2605  0.1153  0.5078  2 Mn 1.94-2.09
O  0.1024  0.4834  0.6032  2 Mn 1.96-1.98
O  0.8889  0.0112  0.8926  2 Mn 1.90-1.93
O  0.2550  0.3645  0.0023  1 Mn 1.85
O  0.3968  0.0166  0.8964  2 Mn 1.97-1.99
O  0.7397  0.6273  0.0400  2 Mn 1.93-1.94
O  0.8529  0.9777  0.6428  2 Mn 1.96-1.98
O  0.3571  0.7726  0.1473  2 Mn 1.96-1.99
O  0.7482  0.1232  0.0364  2 Mn 1.98-1.99
O  0.1048  0.7707  0.1047  2 Mn 1.97-1.98
O  0.8513  0.2714  0.6457  2 Mn 1.89-1.95
O  0.1332  0.2359  0.8600  2 Mn 1.84-1.94
O  0.6468  0.0186  0.8513  2 Mn 1.96-1.97
O  0.8558  0.4802  0.6446  2 Mn 1.94-1.96
O  0.2582  0.3781  0.4757  2 Mn 1.97-1.98
O  0.9880  0.6257  0.2099  2 Mn 1.93-1.94
O  0.7435  0.6262  0.5387  2 Mn 1.94-1.95
O  0.5951  0.2500  0.1065  2 Mn 1.87-2.05
O  0.1446  0.5198  0.8546  2 Mn 1.97
O  0.1023  0.4828  0.1031  2 Mn 1.96-1.98
O  0.3966  0.7273  0.3974  2 Mn 1.98
O  0.2481  0.1336  0.0372  1 Mn 1.87
O  0.1456  0.7306  0.3521  2 Mn 1.96-1.98
O  0.6462  0.2296  0.8545  2 Mn 1.96-1.97
O  0.3551  0.7704  0.6470  2 Mn 1.98
O  0.1372  0.0048  0.3612  2 Mn 1.94-1.95
O  0.1461  0.7308  0.8530  2 Mn 1.97-1.98
O  0.3927  0.5177  0.8926  2 Mn 1.97-1.98
O  0.8630  0.2728  0.1396  2 Mn 1.94-1.98
O  0.3965  0.7309  0.8969  2 Mn 1.97-1.98
O  0.2385  0.6273  0.0381  2 Mn 1.93-1.94
O  0.1434  0.0143  0.8619  2 Mn 1.93-2.01
O  0.6037  0.2621  0.6032  2 Mn 1.89-1.95
O  0.2369  0.6281  0.5397  2 Mn 1.93-1.95
O  0.9998  0.1267  0.2240  2 Mn 1.99-2.06
O  0.6447  0.5197  0.3567  2 Mn 1.95-1.97
O  0.3580  0.4902  0.6425  2 Mn 1.95
O  0.5132  0.8735  0.7850  2 Mn 1.95
O  0.6449  0.7288  0.8560  2 Mn 1.95-1.96
O  0.7463  0.3764  0.9679  2 Mn 1.99-2.01
O  0.7577  0.8730  0.9614  2 Mn 1.94-1.95
O  0.3963  0.2230  0.3662  1 Mn 1.86
O  0.7512  0.3758  0.4632  2 Mn 1.99-2.00
O  0.1038  0.2637  0.6055  2 Mn 1.97-2.01
O  0.5114  0.8719  0.3015  2 Mn 1.84-1.97
O  0.9888  0.1234  0.7262  2 Mn 2.00
O  0.6078  0.7667  0.6064  2 Mn 1.96-1.98
O  0.6035  0.9851  0.0955  2 Mn 1.87-1.94
O  0.8818  0.0165  0.3878  2 Mn 1.95-1.98
O  0.6133  0.4879  0.1114  2 Mn 1.93-1.95
O  0.9878  0.6261  0.7106  2 Mn 1.95
O  0.8950  0.7300  0.3957  2 Mn 1.97-1.98
O  0.8947  0.7291  0.8953  2 Mn 1.97-1.98
O  0.6070  0.7740  0.1074  2 Mn 1.99
O  0.2689  0.8736  0.4569  2 Mn 1.90-1.97
O  0.8532  0.9792  0.1454  2 Mn 1.94-1.98
O  0.6432  0.5215  0.8580  2 Mn 1.95-1.96
O  0.1075  0.9793  0.1111  2 Mn 1.96-2.01
O  0.6470  0.7284  0.3542  2 Mn 1.96-1.97
O  0.6500  0.2203  0.3584  2 Mn 1.83-1.99
O  0.8893  0.2375  0.8956  2 Mn 1.91-1.98
O  0.3586  0.9896  0.1609  2 Mn 1.87-2.09
O  0.8558  0.7716  0.6445  2 Mn 1.96-1.97
O  0.8573  0.4828  0.1431  2 Mn 1.96
O  0.8868  0.2348  0.4008  2 Mn 1.88-1.93
O  0.6119  0.4888  0.6089  2 Mn 1.95
O  0.5093  0.3761  0.7712  2 Mn 1.97-1.99
O  0.6210  0.0306  0.3551  1 Mn 1.87
O  0.1054  0.7728  0.6032  2 Mn 1.97-2.00
O  0.1450  0.5229  0.3530  2 Mn 1.96-1.98
Sr  0.2624  0.1207  0.7412  7 O 2.47-2.74
Sr  0.2445  0.1170  0.2595  5 O 2.36-2.59
Sr  0.4964  0.3810  0.9972  6 O 2.41-2.69
Sr  0.0116  0.1215  0.5009  7 O 2.45-2.72
Sr  0.0088  0.1202  0.9946  5 O 2.39-2.66
Sr  0.2385  0.3857  0.2528  6 O 2.42-2.66
Sr  0.4877  0.3813  0.5048  5 O 2.41-2.65
Sr  0.2345  0.3785  0.7445  6 O 2.45-2.72
Mn  0.9963  0.9940  0.2507  6 O 1.93-2.06
Mn  0.5016  0.5045  0.7487  6 O 1.93-1.99
Mn  0.5006  0.9969  0.7486  6 O 1.95-1.99
Mn  0.9913  0.2531  0.2605  5 O 1.93-1.99
Mn  0.7503  0.7489  0.5000  6 O 1.94-1.98
Mn  0.5219  0.2571  0.2620  4 O 1.83-1.89
Mn  0.5019  0.5066  0.2491  6 O 1.94-1.98
Mn  0.7498  0.7497  0.9996  6 O 1.94-1.99
Mn  0.9995  0.5024  0.7486  6 O 1.95-2.00
Mn  0.5007  0.7489  0.7516  6 O 1.92-1.98
Mn  0.9997  0.7494  0.7494  6 O 1.94-2.00
Mn  0.7500  0.2492  0.9997  6 O 1.91-2.05
Mn  0.2500  0.7497  0.4998  6 O 1.93-1.98
Mn  0.2491  0.5046  0.0020  6 O 1.93-2.16
Mn  0.9956  0.9948  0.7533  6 O 1.92-2.01
Mn  0.2504  0.2506  0.4960  6 O 1.94-2.17
Mn  0.2500  0.7504  0.0010  6 O 1.94-1.99
Mn  0.9950  0.2521  0.7489  6 O 1.94-2.00
Mn  0.2494  0.5047  0.5010  6 O 1.95-1.99
Mn  0.0006  0.5031  0.2490  6 O 1.94-1.98
Mn  0.5001  0.7491  0.2516  6 O 1.89-1.99
Mn  0.2392  0.9902  0.5073  5 O 1.90-1.94
Mn  0.5113  0.9834  0.2402  4 O 1.84-1.87
Mn  0.9997  0.7481  0.2491  6 O 1.93-1.98
Mn  0.7504  0.9969  0.9967  6 O 1.90-1.99
Mn  0.7519  0.2492  0.5056  6 O 1.88-2.00
Mn  0.7499  0.5052  0.0013  6 O 1.93-2.01
Mn  0.5049  0.2497  0.7450  6 O 1.89-1.98
Mn  0.2521  0.9984  0.0009  6 O 1.93-2.12
Mn  0.7526  0.5023  0.5012  6 O 1.94-1.99
Mn  0.2583  0.2461  0.9742  4 O 1.84-1.87
Mn  0.7452  0.9982  0.5000  6 O 1.94-2.13